Below is crystalline CaNdGaO4 at its relaxed geometry, with properties calculated at the PBE-GGA level.

The structure in POSCAR format:
```
CaNdGaO4
1.0
-2.8730 5.9214 -0.6461
-0.6003 -4.6969 4.6166
4.1173 2.3128 2.8884
Ca Nd Ga O
2 2 2 8
Direct
0.6043 0.3957 0.5153
0.3957 0.6043 0.0153
0.8894 0.1106 0.4824
0.1106 0.8894 0.9824
0.7459 0.2541 0.9980
0.2541 0.7459 0.4980
0.5805 0.4195 0.9475
0.9230 0.0770 0.0540
0.4195 0.5805 0.4475
0.0770 0.9230 0.5540
0.9823 0.5150 0.2514
0.0177 0.4850 0.7514
0.5150 0.9823 0.7514
0.4850 0.0177 0.2514
```

DFT formation energy	-2085	kJ/mol of formula units